1.
Er3In5 | r2SCAN | relaxed

Properties
As for the formation energy from the elements: -0.56 eV/atom. The magnetic moment is 0.00 Bohr magnetons per cell.

Cell lengths 9.745, 7.991, 10.285 Å; angles 90.00, 90.00, 90.00 degrees
Space group Cmcm (No. 63)
Asymmetric unit:
1 Er 0.000 0.120 0.250 x4
2 Er 0.204 0.500 0.000 x8
3 In 0.000 0.192 0.544 x8
4 In 0.000 0.494 0.750 x4
5 In 0.218 0.208 0.750 x8

2.
Er3In | r2SCAN | relaxed

Properties
As for the formation energy from the elements: -0.33 eV/atom. The magnetic moment is 1.30 Bohr magnetons per cell.

Cell lengths 4.780, 4.780, 4.780 Å; angles 90.00, 90.00, 90.00 degrees
Space group Pm-3m (No. 221)
Asymmetric unit:
1 Er 0.000 0.000 0.500 x3
2 In 0.500 0.500 0.500 x1

3.
Er4InIr | r2SCAN | relaxed

Properties
As for the formation energy from the elements: -0.70 eV/atom. The magnetic moment is 2.27 Bohr magnetons per cell.

Cell lengths 13.474, 13.474, 13.474 Å; angles 90.00, 90.00, 90.00 degrees
Space group F-43m (No. 216)
Asymmetric unit:
1 Er 0.000 0.000 0.191 x24
2 Er 0.058 0.250 0.250 x24
3 Er 0.099 0.099 0.599 x16
4 In 0.167 0.167 0.833 x16
5 Ir 0.109 0.109 0.391 x16

4.
LaErIn2 | r2SCAN | relaxed

Properties
As for the formation energy from the elements: -0.59 eV/atom. The magnetic moment is 0.01 Bohr magnetons per cell.

Cell lengths 7.673, 7.673, 7.673 Å; angles 90.00, 90.00, 90.00 degrees
Space group Fm-3m (No. 225)
Asymmetric unit:
1 La 0.000 0.000 0.000 x4
2 Er 0.000 0.000 0.500 x4
3 In 0.250 0.250 0.250 x8

5.
LiErIn2 | r2SCAN | relaxed

Properties
As for the formation energy from the elements: -0.47 eV/atom. The magnetic moment is 0.00 Bohr magnetons per cell.

Cell lengths 7.172, 7.172, 7.172 Å; angles 90.00, 90.00, 90.00 degrees
Space group Fm-3m (No. 225)
Asymmetric unit:
1 Li 0.000 0.000 0.000 x4
2 Er 0.000 0.000 0.500 x4
3 In 0.250 0.250 0.250 x8

6.
ErMgIn | r2SCAN | relaxed

Properties
As for the formation energy from the elements: -0.47 eV/atom. The magnetic moment is 0.00 Bohr magnetons per cell.

Cell lengths 7.4381, 7.4381, 4.6318 Å; angles 90.00, 90.00, 120.00 degrees
Space group P-62m (No. 189)
Asymmetric unit:
1 Er 0.0000 0.5640 0.0000 x3
2 Mg 0.0000 0.2417 0.5000 x3
3 In 0.0000 0.0000 0.0000 x1
4 In 0.3333 0.6667 0.5000 x2